# 1
# CaSi2 (GGA-PBE, optimized geometry)
# calculated formation energy: -0.3214 eV/atom
data_CaSi2
_symmetry_space_group_name_H-M 'I 41/a m d'
_symmetry_Int_Tables_number 141
_cell_length_a 4.2430
_cell_length_b 4.2430
_cell_length_c 13.6862
_cell_angle_alpha 90.00
_cell_angle_beta 90.00
_cell_angle_gamma 90.00
loop_
_symmetry_equiv_pos_as_xyz
'x,y,z'
'-x,-y,-z'
'-y+1/4,x+3/4,z+1/4'
'y+1/4,-x+3/4,-z+1/4'
'-x+1/2,-y,z+1/2'
'x+1/2,y,-z+1/2'
'y+1/4,-x+1/4,z+3/4'
'-y+1/4,x+1/4,-z+3/4'
'x,-y,-z'
'-x,y,z'
'-y+1/4,-x+1/4,-z+3/4'
'y+1/4,x+1/4,z+3/4'
'-x+1/2,y,-z+1/2'
'x+1/2,-y,z+1/2'
'y+1/4,x+3/4,-z+1/4'
'-y+1/4,-x+3/4,z+1/4'
'x+1/2,y+1/2,z+1/2'
'-x+1/2,-y+1/2,-z+1/2'
'-y+3/4,x+1/4,z+3/4'
'y+3/4,-x+1/4,-z+3/4'
'-x,-y+1/2,z'
'x,y+1/2,-z'
'y+3/4,-x+3/4,z+1/4'
'-y+3/4,x+3/4,-z+1/4'
'x+1/2,-y+1/2,-z+1/2'
'-x+1/2,y+1/2,z+1/2'
'-y+3/4,-x+3/4,-z+1/4'
'y+3/4,x+3/4,z+1/4'
'-x,y+1/2,-z'
'x,-y+1/2,z'
'y+3/4,x+1/4,-z+3/4'
'-y+3/4,-x+1/4,z+3/4'
loop_
_atom_site_label
_atom_site_type_symbol
_atom_site_fract_x
_atom_site_fract_y
_atom_site_fract_z
Ca1 Ca 0.0000 0.2500 0.3750
Si1 Si 0.0000 0.2500 0.7912

# 2
# CaSi3 (GGA-PBE, optimized geometry)
# calculated formation energy: -0.1261 eV/atom
data_CaSi3
_symmetry_space_group_name_H-M 'I 4/m m m'
_symmetry_Int_Tables_number 139
_symmetry_space_group_name_Hall '-I 4 2'
_cell_length_a 7.2598
_cell_length_b 7.2598
_cell_length_c 11.3419
_cell_angle_alpha 90.00
_cell_angle_beta 90.00
_cell_angle_gamma 90.00
loop_
_atom_site_label
_atom_site_type_symbol
_atom_site_fract_x
_atom_site_fract_y
_atom_site_fract_z
Ca1 Ca 0.0000 0.0000 0.1731
Ca2 Ca 0.0000 0.5000 0.2500
Si1 Si 0.0000 0.3355 0.0000
Si2 Si 0.1854 0.1854 0.3954

# 3
# CaSi2 (GGA-PBE, optimized geometry)
# calculated formation energy: -0.3328 eV/atom
data_CaSi2
_symmetry_space_group_name_H-M 'R -3 m'
_symmetry_Int_Tables_number 166
_symmetry_space_group_name_Hall '-R 3 2"'
_cell_length_a 3.8437
_cell_length_b 3.8437
_cell_length_c 15.8646
_cell_angle_alpha 90.00
_cell_angle_beta 90.00
_cell_angle_gamma 120.00
loop_
_atom_site_label
_atom_site_type_symbol
_atom_site_fract_x
_atom_site_fract_y
_atom_site_fract_z
Ca1 Ca 0.0000 0.0000 0.0000
Si1 Si 0.0000 0.0000 0.1973

The highest calculated formation energy belongs to which entry? CaSi3